# GGA-PBE MgTe2MoW2Se2S2, optimized geometry
# Crystal system: trigonal
# MP2020-corrected energy (eV/atom): -6.493
# VASP energy (eV/atom): -6.3927
# Magnetization (μB per cell): 0.00
# ΔE to the lowest computed polymorph (eV/atom): 0.000
# E_form (kJ/mol of atoms): -48.4
data_MgTe2MoW2Se2S2
_cell_length_a 3.3377
_cell_length_b 3.3377
_cell_length_c 38.5766
_cell_angle_alpha 90.00
_cell_angle_beta 90.00
_cell_angle_gamma 120.00
_symmetry_space_group_name_H-M 'P 3 m 1'
_symmetry_Int_Tables_number 156
_symmetry_space_group_name_Hall 'P 3 -2"'
loop_
_atom_site_label
_atom_site_type_symbol
_atom_site_fract_x
_atom_site_fract_y
_atom_site_fract_z
_atom_site_occupancy
Mg1 Mg 0.0000 0.0000 0.0000 1
Te1 Te 0.6667 0.3333 0.8264 1
Te2 Te 0.6667 0.3333 0.9252 1
Mo1 Mo 0.3333 0.6667 0.8755 1
W1 W 0.3333 0.6667 0.3444 1
W2 W 0.6667 0.3333 0.1240 1
Se1 Se 0.6667 0.3333 0.3008 1
Se2 Se 0.6667 0.3333 0.3878 1
S1 S 0.3333 0.6667 0.0844 1
S2 S 0.3333 0.6667 0.1633 1